[1]
## LuRh3C (PBE)

Data for a relaxed structure of LuRh3C.

POSCAR file:
```
LuRh3C
1.0
4.152 0.000 0.000
0.000 4.152 0.000
0.000 0.000 4.152
Lu Rh C
1 3 1
direct
0.000 0.000 0.000
0.000 0.500 0.500
0.500 0.000 0.500
0.500 0.500 0.000
0.500 0.500 0.500
```

Results
Uncorrected energy   -7.72 eV/atom
V   71.56 Å³/cell

=====

[2]
## LuRu3C (PBE)

Data for a relaxed structure of LuRu3C.

POSCAR file:
```
LuRu3C
1.0
4.131 0.000 0.000
0.000 4.131 0.000
0.000 0.000 4.131
Lu Ru C
1 3 1
direct
0.000 0.000 0.000
0.000 0.500 0.500
0.500 0.000 0.500
0.500 0.500 0.000
0.500 0.500 0.500
```

Results
Uncorrected energy   -8.59 eV/atom
V   70.50 Å³/cell

=====

[3]
## Lu3SnC (PBE)

Data for a relaxed structure of Lu3SnC.

POSCAR file:
```
Lu3SnC
1.0
4.757 0.000 0.000
0.000 4.757 0.000
0.000 0.000 4.757
Lu Sn C
3 1 1
direct
0.000 0.000 0.500
0.000 0.500 0.000
0.500 0.000 0.000
0.500 0.500 0.500
0.000 0.000 0.000
```

Results
Uncorrected energy   -6.03 eV/atom
V   107.64 Å³/cell

=====

[4]
## MgC2 (PBE)

Data for a relaxed structure of MgC2.

POSCAR file:
```
MgC2
1.0
3.951 0.000 0.000
0.000 3.951 0.000
0.000 0.000 4.987
Mg C
2 4
direct
0.000 0.000 0.000
0.500 0.500 0.500
0.112 0.112 0.500
0.388 0.612 0.000
0.612 0.388 0.000
0.888 0.888 0.500
```

Results
Uncorrected energy   -6.26 eV/atom
V   77.84 Å³/cell